[1]
Li2Fe3O3F5 | GGA+U | relaxed

Geometry as extended XYZ:
```
13
Lattice="5.211 -2.972 0.000 5.211 2.972 0.000 -3.557 0.000 4.962" Properties=species:S:1:pos:R:3 pbc="T T T"
Li 5.211 1.531 0.000
Li 5.211 -1.531 0.000
Fe 2.466 0.000 1.984
Fe 7.709 0.000 0.011
Fe 6.132 0.000 2.495
O 2.580 0.000 3.827
O 6.869 1.364 1.273
O 6.869 -1.364 1.273
F 4.336 0.000 1.294
F 5.181 1.296 3.727
F 9.416 0.000 0.961
F 5.181 -1.296 3.727
F 7.535 0.000 3.791
```

Results
Maximum piezoelectric response (C/m²): 0.32
DFT formation energy (eV/atom): -2.348
SG: No. 8



[2]
BaSrNbWO6 | GGA+U | relaxed

Geometry as extended XYZ:
```
10
Lattice="0.000 4.156 4.156 4.156 0.000 4.156 4.156 4.156 0.000" Properties=species:S:1:pos:R:3 pbc="T T T"
Ba 0.000 0.000 0.000
Sr 4.156 4.156 4.156
Nb 6.234 6.234 6.234
W 2.078 2.078 2.078
O 6.234 6.234 4.218
O 6.234 4.218 6.234
O 8.250 6.234 6.234
O 4.218 6.234 6.234
O 6.234 8.250 6.234
O 6.234 6.234 8.250
```

Results
DFT formation energy (eV/atom): -2.883
SG: No. 216



[3]
Li4Cr2Ni3Sb3O16 | GGA+U | relaxed

Geometry as extended XYZ:
```
28
Lattice="5.241 -3.024 0.000 5.241 3.024 0.000 -0.257 0.000 9.621" Properties=species:S:1:pos:R:3 pbc="T T T"
Li 0.000 0.000 0.000
Li -0.049 0.000 5.024
Li 3.220 0.000 6.027
Li 6.896 0.000 0.982
Cr 3.289 0.000 0.107
Cr 6.601 0.000 5.114
Ni 1.571 0.000 2.799
Ni 5.794 1.477 7.637
Ni 5.794 -1.477 7.637
Sb 4.156 1.495 2.804
Sb 4.156 -1.495 2.804
Sb 8.361 0.000 7.624
O 2.608 1.364 1.585
O 3.941 1.549 8.751
O 1.396 0.000 8.732
O 5.790 1.531 3.913
O 3.315 0.000 3.894
O 4.913 0.000 1.608
O 2.608 -1.364 1.585
O 5.150 0.000 6.389
O 7.505 1.311 6.334
O 3.941 -1.549 8.751
O 6.650 0.000 8.659
O 5.790 -1.531 3.913
O 8.581 0.000 3.877
O 7.505 -1.311 6.334
O 10.273 0.000 1.813
O 10.164 0.000 6.776
```

Results
DFT formation energy (eV/atom): -1.919
SG: No. 8



[4]
Li9Mn2Co5O16 | GGA+U | relaxed

Geometry as extended XYZ:
```
32
Lattice="5.151 -2.916 0.000 5.151 2.916 0.000 -3.409 0.000 9.545" Properties=species:S:1:pos:R:3 pbc="T T T"
Li 0.000 0.000 0.000
Li 2.576 1.458 0.000
Li 0.871 1.458 4.772
Li 1.691 0.000 2.323
Li 0.003 0.000 7.205
Li 2.576 -1.458 0.000
Li 0.871 -1.458 4.772
Li 6.890 0.000 2.340
Li 5.202 0.000 7.221
Mn 5.151 0.000 0.000
Mn 3.446 0.000 4.772
Co -1.705 0.000 4.772
Co 4.317 1.493 2.327
Co 2.576 1.493 7.218
Co 4.317 -1.493 2.327
Co 2.576 -1.493 7.218
O -1.765 0.000 8.193
O -0.085 0.000 3.604
O 2.672 1.388 3.659
O 0.981 1.366 8.377
O 4.221 1.388 5.886
O 5.911 1.366 1.168
O 3.560 0.000 1.128
O 1.926 0.000 5.984
O 4.967 0.000 3.561
O 3.333 0.000 8.417
O 0.981 -1.366 8.377
O 2.672 -1.388 3.659
O 5.911 -1.366 1.168
O 4.221 -1.388 5.886
O 6.978 0.000 5.941
O 8.658 0.000 1.352
```

Results
Energy above the lowest structure with this stoichiometry (kJ per mole of atoms): 2.0
DFT formation energy (eV/atom): -1.843
SG: No. 12



[5]
MnP2O7 | GGA+U | relaxed

Geometry as extended XYZ:
```
40
Lattice="4.913 0.000 0.000 0.000 12.471 0.000 -4.773 0.000 7.911" Properties=species:S:1:pos:R:3 pbc="T T T"
Mn -1.039 1.857 2.737
Mn -3.425 4.379 6.692
Mn 3.565 8.092 1.219
Mn 1.178 10.614 5.175
P -1.300 8.664 4.400
P 1.087 10.043 0.445
P -1.381 0.245 5.524
P 1.006 5.990 1.569
P -0.867 6.481 6.343
P 1.520 12.226 2.387
P -0.947 2.428 7.467
P 1.439 3.807 3.511
O -0.509 2.338 0.963
O -2.896 3.898 4.919
O -0.335 6.637 1.963
O -2.722 12.070 5.919
O 0.163 9.234 1.359
O -2.224 9.473 5.315
O -1.588 1.383 4.518
O 0.799 4.852 0.562
O -1.365 7.145 4.969
O 1.022 11.562 1.013
O -2.409 2.868 7.395
O -0.022 3.368 3.439
O 0.493 0.753 2.873
O -1.894 5.483 6.829
O 2.033 6.988 1.083
O -0.353 11.718 5.038
O 0.162 9.103 4.472
O 2.548 9.603 0.517
O -0.883 0.909 6.898
O 1.504 5.326 2.942
O -0.659 7.619 7.349
O 1.727 11.088 3.393
O 2.363 2.998 2.597
O -0.023 3.237 6.552
O 2.861 0.401 1.993
O 0.474 5.834 5.948
O 3.035 8.573 2.992
O 0.648 10.133 6.948
```

Results
Energy above the lowest structure with this stoichiometry (kJ per mole of atoms): 0.6
DFT formation energy (eV/atom): -2.378
SG: No. 14